Computed, not measured: a relaxed Na5YTa3Si5PO24 crystal at the PBE level of DFT.

Cell: 9.089 9.113 22.669 Å, 90.11 89.99 119.90°
Sites, in units of the cell vectors:
Na (0.993, 0.635, 0.242)
Na (0.630, 0.620, 0.747)
Na (0.989, 0.367, 0.747)
Na (0.377, 0.010, 0.750)
Na (0.322, 0.976, 0.083)
Na (0.661, 0.683, 0.083)
Na (0.967, 0.291, 0.416)
Na (0.322, 0.032, 0.413)
Na (0.707, 0.677, 0.416)
Na (0.999, 0.000, 0.503)
Na (0.999, 0.011, 0.995)
Na (0.666, 0.334, 0.835)
Na (0.645, 0.314, 0.324)
Na (0.332, 0.654, 0.164)
Na (0.331, 0.660, 0.664)
Y (0.002, 0.004, 0.352)
Y (0.668, 0.337, 0.683)
Y (0.660, 0.324, 0.180)
Ta (0.000, 0.999, 0.858)
Ta (0.996, 0.999, 0.645)
Ta (0.005, 0.004, 0.146)
Ta (0.667, 0.332, 0.978)
Ta (0.671, 0.336, 0.483)
Ta (0.329, 0.664, 0.015)
Ta (0.334, 0.665, 0.522)
Ta (0.337, 0.669, 0.312)
Ta (0.333, 0.665, 0.814)
Si (0.300, 0.996, 0.253)
Si (0.280, 0.286, 0.752)
Si (0.008, 0.720, 0.751)
Si (0.711, 0.992, 0.752)
Si (0.968, 0.331, 0.585)
Si (0.670, 0.636, 0.585)
Si (0.965, 0.628, 0.084)
Si (0.667, 0.035, 0.080)
Si (0.371, 0.337, 0.081)
Si (0.625, 0.663, 0.916)
Si (0.038, 0.375, 0.915)
Si (0.337, 0.962, 0.916)
Si (0.614, 0.959, 0.418)
Si (0.343, 0.385, 0.418)
Si (0.042, 0.657, 0.417)
P (0.700, 0.709, 0.250)
P (0.010, 0.302, 0.251)
P (0.367, 0.036, 0.583)
O (0.216, 0.002, 0.315)
O (0.794, 0.787, 0.308)
O (0.988, 0.212, 0.311)
O (0.181, 0.169, 0.809)
O (0.988, 0.819, 0.809)
O (0.830, 0.013, 0.809)
O (0.806, 0.968, 0.693)
O (0.161, 0.193, 0.693)
O (0.035, 0.840, 0.693)
O (0.800, 0.825, 0.196)
O (0.017, 0.191, 0.199)
O (0.168, 0.978, 0.196)
O (0.901, 0.365, 0.646)
O (0.465, 0.100, 0.640)
O (0.630, 0.535, 0.646)
O (0.907, 0.535, 0.147)
O (0.599, 0.092, 0.136)
O (0.492, 0.398, 0.138)
O (0.465, 0.293, 0.027)
O (0.824, 0.525, 0.032)
O (0.697, 0.166, 0.025)
O (0.470, 0.157, 0.530)
O (0.687, 0.523, 0.529)
O (0.836, 0.308, 0.529)
O (0.527, 0.687, 0.973)
O (0.163, 0.478, 0.970)
O (0.315, 0.844, 0.973)
O (0.514, 0.837, 0.473)
O (0.324, 0.487, 0.473)
O (0.166, 0.680, 0.472)
O (0.132, 0.628, 0.357)
O (0.494, 0.862, 0.359)
O (0.369, 0.506, 0.359)
O (0.133, 0.493, 0.856)
O (0.359, 0.863, 0.857)
O (0.503, 0.640, 0.858)
O (0.011, 0.816, 0.417)
O (0.802, 0.983, 0.417)
O (0.176, 0.199, 0.418)
O (0.021, 0.188, 0.911)
O (0.167, 0.979, 0.911)
O (0.811, 0.833, 0.911)
O (0.982, 0.159, 0.587)
O (0.192, 0.026, 0.585)
O (0.847, 0.818, 0.587)
O (0.977, 0.819, 0.091)
O (0.836, 0.015, 0.092)
O (0.186, 0.160, 0.092)
O (0.686, 0.155, 0.750)
O (0.466, 0.306, 0.751)
O (0.842, 0.533, 0.751)
O (0.689, 0.536, 0.245)
O (0.865, 0.340, 0.245)
O (0.487, 0.154, 0.248)
O (0.640, 0.494, 0.925)
O (0.854, 0.363, 0.924)
O (0.508, 0.148, 0.923)
O (0.622, 0.143, 0.424)
O (0.517, 0.371, 0.424)
O (0.856, 0.480, 0.425)
O (0.339, 0.495, 0.068)
O (0.160, 0.673, 0.071)
O (0.510, 0.841, 0.068)
O (0.341, 0.857, 0.571)
O (0.510, 0.668, 0.572)
O (0.154, 0.497, 0.572)
O (0.294, 0.808, 0.253)
O (0.523, 0.696, 0.253)
O (0.183, 0.474, 0.252)
O (0.293, 0.475, 0.756)
O (0.184, 0.707, 0.756)
O (0.524, 0.815, 0.756)

Output
* E: -913.155 eV per cell
* size of the total moment: 0.00 μB per cell
* ΔE_f: -299 kJ per mole of atoms
* space-group type: No. 1

***

Computed, not measured: a relaxed Na6ZrZn7S12O48 crystal at the PBE level of DFT.

Cell: 17.620 8.806 22.537 Å, 89.98 90.03 120.08°
Sites, in units of the cell vectors:
Na (0.320, 0.640, 0.749)
Na (0.650, 0.330, 0.584)
Na (0.985, 0.666, 0.917)
Na (0.667, 0.305, 0.914)
Na (0.167, 0.029, 0.417)
Na (0.666, 0.030, 0.417)
Na (0.992, 0.002, 0.492)
Na (0.480, 0.976, 0.501)
Na (0.004, 0.024, 0.994)
Na (0.488, 0.979, 0.992)
Na (0.338, 0.321, 0.837)
Na (0.831, 0.312, 0.828)
Na (0.342, 0.350, 0.333)
Na (0.843, 0.351, 0.332)
Na (0.168, 0.667, 0.167)
Na (0.666, 0.666, 0.167)
Na (0.164, 0.674, 0.663)
Na (0.661, 0.678, 0.670)
Zr (0.001, 0.002, 0.648)
Zr (0.001, 0.000, 0.148)
Zr (0.500, 0.000, 0.148)
Zn (0.996, 0.999, 0.349)
Zn (0.495, 0.000, 0.350)
Zn (0.001, 0.008, 0.849)
Zn (0.497, 0.997, 0.847)
Zn (0.498, 0.994, 0.652)
Zn (0.338, 0.333, 0.680)
Zn (0.830, 0.327, 0.684)
Zn (0.333, 0.333, 0.183)
Zn (0.833, 0.333, 0.183)
Zn (0.333, 0.337, 0.983)
Zn (0.833, 0.323, 0.986)
Zn (0.338, 0.344, 0.485)
Zn (0.839, 0.339, 0.484)
Zn (0.170, 0.668, 0.015)
Zn (0.665, 0.670, 0.015)
Zn (0.169, 0.661, 0.515)
Zn (0.665, 0.669, 0.514)
Zn (0.167, 0.662, 0.318)
Zn (0.666, 0.661, 0.317)
Zn (0.168, 0.674, 0.820)
Zn (0.665, 0.665, 0.817)
S (0.151, 0.001, 0.254)
S (0.651, 0.001, 0.253)
S (0.350, 0.698, 0.252)
S (0.850, 0.699, 0.252)
S (0.000, 0.300, 0.252)
S (0.500, 0.300, 0.252)
S (0.151, 0.300, 0.752)
S (0.650, 0.300, 0.750)
S (0.000, 0.699, 0.754)
S (0.501, 0.702, 0.750)
S (0.350, 0.002, 0.750)
S (0.850, 0.000, 0.752)
S (0.483, 0.334, 0.583)
S (0.981, 0.341, 0.584)
S (0.188, 0.036, 0.582)
S (0.685, 0.034, 0.582)
S (0.332, 0.631, 0.586)
S (0.832, 0.624, 0.583)
S (0.482, 0.622, 0.083)
S (0.982, 0.623, 0.082)
S (0.329, 0.038, 0.083)
S (0.830, 0.034, 0.084)
S (0.189, 0.341, 0.083)
S (0.688, 0.341, 0.082)
S (0.316, 0.665, 0.915)
S (0.815, 0.670, 0.917)
S (0.019, 0.371, 0.917)
S (0.518, 0.370, 0.917)
S (0.167, 0.966, 0.917)
S (0.667, 0.964, 0.916)
S (0.315, 0.964, 0.417)
S (0.815, 0.961, 0.417)
S (0.167, 0.368, 0.416)
S (0.667, 0.369, 0.418)
S (0.019, 0.665, 0.416)
S (0.517, 0.666, 0.415)
O (0.110, 0.020, 0.308)
O (0.610, 0.020, 0.308)
O (0.403, 0.782, 0.305)
O (0.903, 0.782, 0.305)
O (0.490, 0.196, 0.305)
O (0.989, 0.195, 0.305)
O (0.108, 0.195, 0.805)
O (0.607, 0.196, 0.805)
O (0.486, 0.784, 0.802)
O (0.990, 0.780, 0.809)
O (0.402, 0.026, 0.805)
O (0.903, 0.020, 0.806)
O (0.391, 0.971, 0.697)
O (0.898, 0.985, 0.698)
O (0.096, 0.207, 0.698)
O (0.599, 0.214, 0.695)
O (0.007, 0.815, 0.701)
O (0.512, 0.806, 0.695)
O (0.397, 0.811, 0.198)
O (0.897, 0.811, 0.198)
O (0.007, 0.204, 0.198)
O (0.507, 0.205, 0.198)
O (0.093, 0.986, 0.201)
O (0.593, 0.987, 0.201)
O (0.445, 0.358, 0.637)
O (0.939, 0.359, 0.637)
O (0.240, 0.126, 0.634)
O (0.740, 0.122, 0.634)
O (0.323, 0.532, 0.642)
O (0.820, 0.519, 0.636)
O (0.441, 0.522, 0.138)
O (0.938, 0.517, 0.134)
O (0.320, 0.119, 0.138)
O (0.821, 0.119, 0.137)
O (0.239, 0.359, 0.138)
O (0.742, 0.358, 0.134)
O (0.226, 0.309, 0.030)
O (0.723, 0.312, 0.026)
O (0.429, 0.549, 0.030)
O (0.932, 0.553, 0.026)
O (0.345, 0.144, 0.030)
O (0.847, 0.139, 0.030)
O (0.223, 0.135, 0.526)
O (0.725, 0.142, 0.527)
O (0.342, 0.542, 0.533)
O (0.847, 0.550, 0.529)
O (0.431, 0.311, 0.529)
O (0.929, 0.307, 0.530)
O (0.272, 0.687, 0.967)
O (0.775, 0.691, 0.972)
O (0.070, 0.452, 0.971)
O (0.574, 0.451, 0.970)
O (0.151, 0.851, 0.969)
O (0.658, 0.865, 0.971)
O (0.274, 0.859, 0.471)
O (0.774, 0.857, 0.471)
O (0.155, 0.448, 0.471)
O (0.658, 0.447, 0.474)
O (0.074, 0.693, 0.469)
O (0.573, 0.697, 0.468)
O (0.060, 0.644, 0.362)
O (0.559, 0.644, 0.361)
O (0.259, 0.882, 0.364)
O (0.759, 0.878, 0.364)
O (0.177, 0.470, 0.362)
O (0.677, 0.476, 0.366)
O (0.060, 0.481, 0.864)
O (0.559, 0.474, 0.863)
O (0.177, 0.886, 0.862)
O (0.678, 0.881, 0.863)
O (0.267, 0.645, 0.858)
O (0.761, 0.643, 0.864)
O (0.012, 0.829, 0.412)
O (0.510, 0.828, 0.410)
O (0.404, 0.985, 0.412)
O (0.904, 0.984, 0.411)
O (0.088, 0.186, 0.412)
O (0.588, 0.188, 0.414)
O (0.007, 0.192, 0.912)
O (0.511, 0.193, 0.912)
O (0.085, 0.980, 0.913)
O (0.589, 0.988, 0.912)
O (0.405, 0.825, 0.911)
O (0.906, 0.823, 0.912)
O (0.495, 0.176, 0.587)
O (0.992, 0.178, 0.591)
O (0.097, 0.017, 0.589)
O (0.598, 0.023, 0.587)
O (0.412, 0.809, 0.589)
O (0.910, 0.807, 0.590)
O (0.492, 0.806, 0.090)
O (0.992, 0.805, 0.089)
O (0.411, 0.017, 0.089)
O (0.910, 0.013, 0.091)
O (0.097, 0.178, 0.089)
O (0.598, 0.178, 0.089)
O (0.338, 0.155, 0.744)
O (0.843, 0.159, 0.746)
O (0.239, 0.321, 0.745)
O (0.739, 0.317, 0.747)
O (0.419, 0.525, 0.745)
O (0.921, 0.525, 0.746)
O (0.341, 0.524, 0.245)
O (0.842, 0.525, 0.245)
O (0.421, 0.317, 0.245)
O (0.921, 0.318, 0.245)
O (0.238, 0.159, 0.246)
O (0.738, 0.160, 0.246)
O (0.326, 0.507, 0.920)
O (0.824, 0.508, 0.921)
O (0.429, 0.347, 0.923)
O (0.930, 0.357, 0.921)
O (0.244, 0.143, 0.923)
O (0.746, 0.147, 0.920)
O (0.322, 0.141, 0.422)
O (0.822, 0.138, 0.421)
O (0.245, 0.345, 0.421)
O (0.746, 0.345, 0.421)
O (0.428, 0.510, 0.421)
O (0.930, 0.510, 0.422)
O (0.176, 0.493, 0.079)
O (0.675, 0.493, 0.079)
O (0.071, 0.649, 0.078)
O (0.571, 0.649, 0.079)
O (0.253, 0.859, 0.078)
O (0.753, 0.856, 0.079)
O (0.174, 0.856, 0.579)
O (0.674, 0.857, 0.577)
O (0.253, 0.649, 0.581)
O (0.753, 0.642, 0.578)
O (0.070, 0.494, 0.579)
O (0.574, 0.491, 0.577)
O (0.156, 0.839, 0.253)
O (0.656, 0.840, 0.253)
O (0.264, 0.688, 0.253)
O (0.764, 0.688, 0.253)
O (0.081, 0.473, 0.253)
O (0.581, 0.473, 0.253)
O (0.158, 0.475, 0.753)
O (0.660, 0.477, 0.754)
O (0.080, 0.688, 0.753)
O (0.579, 0.682, 0.755)
O (0.262, 0.837, 0.755)
O (0.764, 0.839, 0.753)

Output
* E: -1290.601 eV per cell
* size of the total moment: 0.00 μB per cell
* ΔE_f: -197 kJ per mole of atoms
* space-group type: No. 1

***

Computed, not measured: a relaxed Ca2Mg crystal at the PBE level of DFT.

Cell: 6.336 6.336 5.945 Å, 90.00 90.00 120.26°
Sites, in units of the cell vectors:
Ca (0.160, 0.479, 0.750)
Ca (0.479, 0.160, 0.750)
Ca (0.521, 0.840, 0.250)
Ca (0.840, 0.521, 0.250)
Mg (0.834, 0.834, 0.750)
Mg (0.166, 0.166, 0.250)

Output
* E: -11.309 eV per cell
* size of the total moment: 0.00 μB per cell
* ΔE_f: -1 kJ per mole of atoms
* space-group type: No. 63